Record 1
Density functional theory data (PBE) for an optimized crystal structure of Na2GeH12S2O7.

Computed properties:
Formation enthalpy at 0 K (eV per formula unit): -31.49
Density (Mg/m³): 1.92
V (Å³ per cell): 2128.3
M_tot (Bohr magnetons per cell): 0.04

a b c (Å): 10.8079 13.9337 14.1324
angles (deg): 90.00 90.00 90.00
With the nearest neighbours (Å) after each atom.
Sites, in units of the cell vectors:
1 Na 0.0000 0.0000 0.0000  4 O 2.33-2.45
2 Na 0.0000 0.0000 0.5000  4 O 2.33-2.45
3 Na 0.0000 0.0517 0.2500  6 O 2.32-2.56
4 Na 0.0000 0.9483 0.7500  6 O 2.32-2.56
5 Na 0.0008 0.4864 0.1234  5 O 2.38-2.46
6 Na 0.0008 0.5136 0.6234  5 O 2.38-2.46
7 Na 0.4992 0.0136 0.6234  5 O 2.38-2.46
8 Na 0.4992 0.9864 0.1234  5 O 2.38-2.46
9 Na 0.5000 0.4483 0.7500  6 O 2.32-2.56
10 Na 0.5000 0.5000 0.0000  4 O 2.33-2.45
11 Na 0.5000 0.5000 0.5000  4 O 2.33-2.45
12 Na 0.5000 0.5517 0.2500  6 O 2.32-2.56
13 Na 0.5008 0.0136 0.8766  5 O 2.38-2.46
14 Na 0.5008 0.9864 0.3766  5 O 2.38-2.46
15 Na 0.9992 0.4864 0.3766  5 O 2.38-2.46
16 Na 0.9992 0.5136 0.8766  5 O 2.38-2.46
17 Ge 0.1884 0.1480 0.6442  2 O 1.85-1.86
18 Ge 0.1884 0.8520 0.1442  2 O 1.85-1.86
19 Ge 0.3116 0.3520 0.1442  2 O 1.85-1.86
20 Ge 0.3116 0.6480 0.6442  2 O 1.85-1.86
21 Ge 0.6884 0.3520 0.3558  2 O 1.85-1.86
22 Ge 0.6884 0.6480 0.8558  2 O 1.85-1.86
23 Ge 0.8116 0.1480 0.8558  2 O 1.85-1.86
24 Ge 0.8116 0.8520 0.3558  2 O 1.85-1.86
25 H 0.0328 0.1313 0.8424  1 O 0.99
26 H 0.0328 0.8687 0.3424  1 O 0.99
27 H 0.0495 0.1801 0.4277  1 O 0.99
28 H 0.0495 0.8199 0.9277  1 O 0.99
29 H 0.0545 0.3354 0.5237  1 O 0.99
30 H 0.0545 0.6646 0.0237  1 O 0.99
31 H 0.0703 0.3476 0.7574  1 O 0.99
32 H 0.0703 0.6524 0.2574  1 O 0.99
33 H 0.0735 0.3299 0.2568  1 O 0.99
34 H 0.0735 0.6701 0.7568  1 O 0.99
35 H 0.0899 0.3470 0.9880  1 O 0.99
36 H 0.0899 0.6530 0.4880  1 O 0.99
37 H 0.0954 0.1805 0.0819  1 O 0.99
38 H 0.0954 0.8195 0.5819  1 O 0.99
39 H 0.2252 0.0467 0.3430  1 O 1.00
40 H 0.2252 0.9533 0.8430  1 O 1.00
41 H 0.2287 0.1432 0.2811  1 O 0.99
42 H 0.2287 0.8568 0.7811  1 O 0.99
43 H 0.2378 0.4920 0.5122  1 O 1.00
44 H 0.2378 0.5080 0.0122  1 O 1.00
45 H 0.2414 0.4912 0.6807  1 O 1.00
46 H 0.2414 0.5088 0.1807  1 O 1.00
47 H 0.2463 0.0912 0.9342  1 O 0.98
48 H 0.2463 0.9088 0.4342  1 O 0.98
49 H 0.2537 0.4088 0.4342  1 O 0.98
50 H 0.2537 0.5912 0.9342  1 O 0.98
51 H 0.2586 0.0088 0.1807  1 O 1.00
52 H 0.2586 0.9912 0.6807  1 O 1.00
53 H 0.2622 0.0080 0.0122  1 O 1.00
54 H 0.2622 0.9920 0.5122  1 O 1.00
55 H 0.2713 0.3568 0.7811  1 O 0.99
56 H 0.2713 0.6432 0.2811  1 O 0.99
57 H 0.2748 0.4533 0.8430  1 O 1.00
58 H 0.2748 0.5467 0.3430  1 O 1.00
59 H 0.4046 0.3195 0.5819  1 O 0.99
60 H 0.4046 0.6805 0.0819  1 O 0.99
61 H 0.4101 0.1530 0.4880  1 O 0.99
62 H 0.4101 0.8470 0.9880  1 O 0.99
63 H 0.4265 0.1701 0.7568  1 O 0.99
64 H 0.4265 0.8299 0.2568  1 O 0.99
65 H 0.4297 0.1524 0.2574  1 O 0.99
66 H 0.4297 0.8476 0.7574  1 O 0.99
67 H 0.4455 0.1646 0.0237  1 O 0.99
68 H 0.4455 0.8354 0.5237  1 O 0.99
69 H 0.4505 0.3199 0.9277  1 O 0.99
70 H 0.4505 0.6801 0.4277  1 O 0.99
71 H 0.4672 0.3687 0.3424  1 O 0.99
72 H 0.4672 0.6313 0.8424  1 O 0.99
73 H 0.5328 0.3687 0.1576  1 O 0.99
74 H 0.5328 0.6313 0.6576  1 O 0.99
75 H 0.5495 0.3199 0.5723  1 O 0.99
76 H 0.5495 0.6801 0.0723  1 O 0.99
77 H 0.5545 0.1646 0.4763  1 O 0.99
78 H 0.5545 0.8354 0.9763  1 O 0.99
79 H 0.5703 0.1524 0.2426  1 O 0.99
80 H 0.5703 0.8476 0.7426  1 O 0.99
81 H 0.5735 0.1701 0.7432  1 O 0.99
82 H 0.5735 0.8299 0.2432  1 O 0.99
83 H 0.5899 0.1530 0.0120  1 O 0.99
84 H 0.5899 0.8470 0.5120  1 O 0.99
85 H 0.5954 0.3195 0.9181  1 O 0.99
86 H 0.5954 0.6805 0.4181  1 O 0.99
87 H 0.7252 0.4533 0.6570  1 O 1.00
88 H 0.7252 0.5467 0.1570  1 O 1.00
89 H 0.7287 0.3568 0.7189  1 O 0.99
90 H 0.7287 0.6432 0.2189  1 O 0.99
91 H 0.7378 0.0080 0.4878  1 O 1.00
92 H 0.7378 0.9920 0.9878  1 O 1.00
93 H 0.7414 0.0088 0.3193  1 O 1.00
94 H 0.7414 0.9912 0.8193  1 O 1.00
95 H 0.7463 0.4088 0.0658  1 O 0.98
96 H 0.7463 0.5912 0.5658  1 O 0.98
97 H 0.7537 0.0912 0.5658  1 O 0.98
98 H 0.7537 0.9088 0.0658  1 O 0.98
99 H 0.7586 0.4912 0.8193  1 O 1.00
100 H 0.7586 0.5088 0.3193  1 O 1.00
101 H 0.7622 0.4920 0.9878  1 O 1.00
102 H 0.7622 0.5080 0.4878  1 O 1.00
103 H 0.7713 0.1432 0.2189  1 O 0.99
104 H 0.7713 0.8568 0.7189  1 O 0.99
105 H 0.7748 0.0467 0.1570  1 O 1.00
106 H 0.7748 0.9533 0.6570  1 O 1.00
107 H 0.9046 0.1805 0.4181  1 O 0.99
108 H 0.9046 0.8195 0.9181  1 O 0.99
109 H 0.9101 0.3470 0.5120  1 O 0.99
110 H 0.9101 0.6530 0.0120  1 O 0.99
111 H 0.9265 0.3299 0.2432  1 O 0.99
112 H 0.9265 0.6701 0.7432  1 O 0.99
113 H 0.9297 0.3476 0.7426  1 O 0.99
114 H 0.9297 0.6524 0.2426  1 O 0.99
115 H 0.9455 0.3354 0.9763  1 O 0.99
116 H 0.9455 0.6646 0.4763  1 O 0.99
117 H 0.9505 0.1801 0.0723  1 O 0.99
118 H 0.9505 0.8199 0.5723  1 O 0.99
119 H 0.9672 0.1313 0.6576  1 O 0.99
120 H 0.9672 0.8687 0.1576  1 O 0.99
121 S 0.2123 0.2075 0.7859  3 H 2.18-2.41, 1 Ge 2.18
122 S 0.2123 0.7925 0.2859  3 H 2.18-2.41, 1 Ge 2.18
123 S 0.2243 0.2367 0.5203  1 Ge 2.18, 4 H 2.29-2.43
124 S 0.2243 0.7633 0.0203  1 Ge 2.18, 4 H 2.29-2.43
125 S 0.2757 0.2633 0.0203  1 Ge 2.18, 4 H 2.29-2.43
126 S 0.2757 0.7367 0.5203  1 Ge 2.18, 4 H 2.29-2.43
127 S 0.2877 0.2925 0.2859  3 H 2.18-2.41, 1 Ge 2.18
128 S 0.2877 0.7075 0.7859  3 H 2.18-2.41, 1 Ge 2.18
129 S 0.7123 0.2925 0.2141  3 H 2.18-2.41, 1 Ge 2.18
130 S 0.7123 0.7075 0.7141  3 H 2.18-2.41, 1 Ge 2.18
131 S 0.7243 0.2633 0.4797  1 Ge 2.18, 4 H 2.29-2.43
132 S 0.7243 0.7367 0.9797  1 Ge 2.18, 4 H 2.29-2.43
133 S 0.7757 0.2367 0.9797  1 Ge 2.18, 4 H 2.29-2.43
134 S 0.7757 0.7633 0.4797  1 Ge 2.18, 4 H 2.29-2.43
135 S 0.7877 0.2075 0.7141  3 H 2.18-2.41, 1 Ge 2.18
136 S 0.7877 0.7925 0.2141  3 H 2.18-2.41, 1 Ge 2.18
137 O 0.0000 0.3714 0.2500  2 H 0.99
138 O 0.0000 0.3920 0.7500  2 H 0.99
139 O 0.0000 0.6080 0.2500  2 H 0.99
140 O 0.0000 0.6286 0.7500  2 H 0.99
141 O 0.0116 0.3838 0.9861  2 H 0.99
142 O 0.0116 0.6162 0.4861  2 H 0.99
143 O 0.0208 0.1433 0.0987  2 H 0.99
144 O 0.0208 0.8567 0.5987  2 H 0.99
145 O 0.0356 0.0890 0.6369  1 H 0.99
146 O 0.0356 0.9110 0.1369  1 H 0.99
147 O 0.2093 0.0735 0.2788  2 H 0.99-1.00
148 O 0.2093 0.9265 0.7788  2 H 0.99-1.00
149 O 0.2211 0.4640 0.1275  1 H 1.00
150 O 0.2211 0.5360 0.6275  1 H 1.00
151 O 0.2437 0.0214 0.9441  2 H 0.98-1.00
152 O 0.2437 0.9786 0.4441  2 H 0.98-1.00
153 O 0.2563 0.4786 0.4441  2 H 0.98-1.00
154 O 0.2563 0.5214 0.9441  2 H 0.98-1.00
155 O 0.2789 0.0360 0.6275  1 H 1.00
156 O 0.2789 0.9640 0.1275  1 H 1.00
157 O 0.2907 0.4265 0.7788  2 H 0.99-1.00
158 O 0.2907 0.5735 0.2788  2 H 0.99-1.00
159 O 0.4644 0.4110 0.1369  1 H 0.99
160 O 0.4644 0.5890 0.6369  1 H 0.99
161 O 0.4792 0.3567 0.5987  2 H 0.99
162 O 0.4792 0.6433 0.0987  2 H 0.99
163 O 0.4884 0.1162 0.4861  2 H 0.99
164 O 0.4884 0.8838 0.9861  2 H 0.99
165 O 0.5000 0.1080 0.2500  2 H 0.99
166 O 0.5000 0.1286 0.7500  2 H 0.99
167 O 0.5000 0.8714 0.2500  2 H 0.99
168 O 0.5000 0.8920 0.7500  2 H 0.99
169 O 0.5116 0.1162 0.0139  2 H 0.99
170 O 0.5116 0.8838 0.5139  2 H 0.99
171 O 0.5208 0.3567 0.9013  2 H 0.99
172 O 0.5208 0.6433 0.4013  2 H 0.99
173 O 0.5356 0.4110 0.3631  1 H 0.99
174 O 0.5356 0.5890 0.8631  1 H 0.99
175 O 0.7093 0.4265 0.7212  2 H 0.99-1.00
176 O 0.7093 0.5735 0.2212  2 H 0.99-1.00
177 O 0.7211 0.0360 0.8725  1 H 1.00
178 O 0.7211 0.9640 0.3725  1 H 1.00
179 O 0.7437 0.4786 0.0559  2 H 0.98-1.00
180 O 0.7437 0.5214 0.5559  2 H 0.98-1.00
181 O 0.7563 0.0214 0.5559  2 H 0.98-1.00
182 O 0.7563 0.9786 0.0559  2 H 0.98-1.00
183 O 0.7789 0.4640 0.3725  1 H 1.00
184 O 0.7789 0.5360 0.8725  1 H 1.00
185 O 0.7907 0.0735 0.2212  2 H 0.99-1.00
186 O 0.7907 0.9265 0.7212  2 H 0.99-1.00
187 O 0.9644 0.0890 0.8631  1 H 0.99
188 O 0.9644 0.9110 0.3631  1 H 0.99
189 O 0.9792 0.1433 0.4013  2 H 0.99
190 O 0.9792 0.8567 0.9013  2 H 0.99
191 O 0.9884 0.3838 0.5139  2 H 0.99
192 O 0.9884 0.6162 0.0139  2 H 0.99

Record 2
Density functional theory data (PBE) for an optimized crystal structure of Na2GeH14S3O7.

Computed properties:
Formation enthalpy at 0 K (eV per formula unit): -33.09
Density (Mg/m³): 1.73
V (Å³ per cell): 655.0
M_tot (Bohr magnetons per cell): 0.00

a b c (Å): 7.0947 9.5856 10.1132
angles (deg): 92.12 92.86 107.26
With the nearest neighbours (Å) after each atom.
Sites, in units of the cell vectors:
1 Na 0.0994 0.4707 0.1542  5 O 2.39-2.49
2 Na 0.2999 0.3590 0.4459  6 O 2.35-2.49
3 Na 0.7001 0.6410 0.5541  6 O 2.35-2.49
4 Na 0.9006 0.5293 0.8458  5 O 2.39-2.49
5 Ge 0.4303 0.0862 0.8874  4 S 2.17-2.31
6 Ge 0.5697 0.9138 0.1126  4 S 2.17-2.31
7 H 0.0384 0.1742 0.2438  1 O 0.99
8 H 0.0514 0.5994 0.3962  1 O 0.98
9 H 0.0507 0.7460 0.0632  1 O 0.98
10 H 0.0558 0.1566 0.6342  1 O 0.98
11 H 0.0755 0.8611 0.4974  1 O 0.98
12 H 0.1735 0.3349 0.9185  1 O 0.99
13 H 0.2409 0.1944 0.1832  1 O 0.98
14 H 0.2649 0.7571 0.7722  1 O 0.99
15 H 0.2763 0.6407 0.4143  1 O 0.99
16 H 0.3335 0.6687 0.8845  1 O 0.99
17 H 0.3505 0.5508 0.6971  1 O 0.99
18 H 0.4257 0.8409 0.5683  1 O 0.99
19 H 0.4390 0.4228 0.7224  1 O 0.99
20 H 0.4571 0.1386 0.5615  1 O 0.99
21 H 0.5429 0.8614 0.4385  1 O 0.99
22 H 0.5610 0.5772 0.2776  1 O 0.99
23 H 0.5743 0.1591 0.4317  1 O 0.99
24 H 0.6495 0.4492 0.3029  1 O 0.99
25 H 0.6665 0.3313 0.1155  1 O 0.99
26 H 0.7237 0.3593 0.5857  1 O 0.99
27 H 0.7351 0.2429 0.2278  1 O 0.99
28 H 0.7591 0.8056 0.8168  1 O 0.98
29 H 0.8265 0.6651 0.0815  1 O 0.99
30 H 0.9245 0.1389 0.5026  1 O 0.98
31 H 0.9442 0.8434 0.3658  1 O 0.98
32 H 0.9493 0.2540 0.9368  1 O 0.98
33 H 0.9486 0.4006 0.6038  1 O 0.98
34 H 0.9616 0.8258 0.7562  1 O 0.99
35 S 0.2662 0.9778 0.7012  1 Ge 2.21, 5 H 2.26-2.45
36 S 0.2850 0.9781 0.0729  2 Ge 2.30-2.31, 2 H 2.34-2.43
37 S 0.4872 0.3213 0.9141  1 Ge 2.17, 3 H 2.26-2.33
38 S 0.5128 0.6787 0.0859  1 Ge 2.17, 3 H 2.26-2.33
39 S 0.7150 0.0219 0.9271  2 Ge 2.30-2.31, 2 H 2.34-2.43
40 S 0.7338 0.0222 0.2988  1 Ge 2.21, 5 H 2.26-2.45
41 O 0.0220 0.2113 0.5613  2 H 0.98
42 O 0.0445 0.3520 0.9330  2 H 0.98-0.99
43 O 0.1604 0.5585 0.3809  2 H 0.98-0.99
44 O 0.1674 0.2479 0.2346  2 H 0.98-0.99
45 O 0.2498 0.6565 0.8005  2 H 0.99
46 O 0.4155 0.4855 0.6514  2 H 0.99
47 O 0.4750 0.7869 0.4997  2 H 0.99
48 O 0.5250 0.2131 0.5003  2 H 0.99
49 O 0.5845 0.5145 0.3486  2 H 0.99
50 O 0.7502 0.3435 0.1995  2 H 0.99
51 O 0.8326 0.7521 0.7654  2 H 0.98-0.99
52 O 0.8396 0.4415 0.6191  2 H 0.98-0.99
53 O 0.9555 0.6480 0.0670  2 H 0.98-0.99
54 O 0.9780 0.7887 0.4387  2 H 0.98

Record 3
Density functional theory data (PBE) for an optimized crystal structure of Na4GeH28Se4O14.

Computed properties:
Formation enthalpy at 0 K (eV per formula unit): -60.73
Density (Mg/m³): 2.14
V (Å³ per cell): 569.1
M_tot (Bohr magnetons per cell): 0.00

a b c (Å): 8.5852 8.5852 8.2180
angles (deg): 103.90 103.90 82.54
With the nearest neighbours (Å) after each atom.
Sites, in units of the cell vectors:
1 Na 0.1317 0.5371 0.1845  6 O 2.41-2.48
2 Na 0.1461 0.1461 0.0918  6 O 2.38-2.45
3 Na 0.4629 0.8683 0.8155  6 O 2.41-2.48
4 Na 0.8539 0.8539 0.9082  6 O 2.38-2.45
5 Ge 0.7222 0.2778 0.5000  4 Se 2.38-2.40
6 H 0.0005 0.0782 0.7416  1 O 1.00
7 H 0.0187 0.5397 0.8425  1 O 1.00
8 H 0.0781 0.8869 0.2432  1 O 0.97
9 H 0.1131 0.9219 0.7568  1 O 0.97
10 H 0.1428 0.6604 0.8629  1 O 0.99
11 H 0.1502 0.3260 0.4339  1 O 0.99
12 H 0.1710 0.6577 0.5899  1 O 0.99
13 H 0.2150 0.0819 0.5848  1 O 0.99
14 H 0.2622 0.3395 0.8892  1 O 0.98
15 H 0.3322 0.3380 0.4419  1 O 0.99
16 H 0.3316 0.5718 0.6826  1 O 0.99
17 H 0.3396 0.8572 0.1371  1 O 0.99
18 H 0.3423 0.8290 0.4101  1 O 0.99
19 H 0.3974 0.1009 0.6108  1 O 0.99
20 H 0.4006 0.3543 0.0583  1 O 0.98
21 H 0.4282 0.6684 0.3174  1 O 0.99
22 H 0.4603 0.9813 0.1575  1 O 1.00
23 H 0.6291 0.1658 0.8852  1 O 1.00
24 H 0.6457 0.5994 0.9417  1 O 0.98
25 H 0.6605 0.7378 0.1108  1 O 0.98
26 H 0.6605 0.1256 0.0692  1 O 0.98
27 H 0.6620 0.6678 0.5581  1 O 0.99
28 H 0.6740 0.8498 0.5661  1 O 0.99
29 H 0.8342 0.3709 0.1148  1 O 1.00
30 H 0.8744 0.3395 0.9308  1 O 0.98
31 H 0.8991 0.6026 0.3892  1 O 0.99
32 H 0.9181 0.7850 0.4152  1 O 0.99
33 H 0.9218 0.9995 0.2584  1 O 1.00
34 Se 0.5545 0.3513 0.7061  5 H 2.35-2.57, 1 Ge 2.40
35 Se 0.6487 0.4455 0.2939  5 H 2.35-2.57, 1 Ge 2.40
36 Se 0.6994 0.0014 0.3643  4 H 2.28-2.50, 1 Ge 2.38
37 Se 0.9986 0.3006 0.6357  4 H 2.28-2.50, 1 Ge 2.38
38 O 0.0100 0.9712 0.1934  2 H 0.97-1.00
39 O 0.0288 0.9900 0.8066  2 H 0.97-1.00
40 O 0.0610 0.6404 0.9206  2 H 0.99-1.00
41 O 0.2248 0.3402 0.3639  2 H 0.99
42 O 0.2579 0.6706 0.6953  2 H 0.99
43 O 0.2861 0.3362 0.0112  2 H 0.98
44 O 0.3206 0.0183 0.5929  2 H 0.99
45 O 0.3294 0.7421 0.3047  2 H 0.99
46 O 0.3596 0.9390 0.0794  2 H 0.99-1.00
47 O 0.6457 0.0758 0.9462  2 H 0.98-1.00
48 O 0.6598 0.7752 0.6361  2 H 0.99
49 O 0.6638 0.7139 0.9888  2 H 0.98
50 O 0.9242 0.3543 0.0538  2 H 0.98-1.00
51 O 0.9817 0.6794 0.4071  2 H 0.99